A relaxed structure of Na10Ca3Zr5Si6S6O48, computed with PBE.

Lattice parameters (Å, degrees): 9.258 16.043 23.306 90.19 90.18 90.02
Space group P1 (No. 1)
Symmetry-distinct sites (fractional):
Na 0.000 0.000 0.000 [1 per cell]
Na 0.002 0.625 0.995 [1 per cell]
Na 0.015 0.956 0.667 [1 per cell]
Na 0.126 0.126 0.490 [1 per cell]
Na 0.149 0.489 0.491 [1 per cell]
Na 0.153 0.149 0.821 [1 per cell]
Na 0.178 0.131 0.152 [1 per cell]
Na 0.182 0.470 0.821 [1 per cell]
Na 0.197 0.804 0.500 [1 per cell]
Na 0.315 0.971 0.082 [1 per cell]
Na 0.322 0.310 0.740 [1 per cell]
Na 0.324 0.962 0.580 [1 per cell]
Na 0.335 0.654 0.405 [1 per cell]
Na 0.346 0.314 0.240 [1 per cell]
Na 0.354 0.643 0.914 [1 per cell]
Na 0.481 0.470 0.316 [1 per cell]
Na 0.489 0.501 0.998 [1 per cell]
Na 0.615 0.625 0.484 [1 per cell]
Na 0.632 0.308 0.820 [1 per cell]
Na 0.645 0.995 0.489 [1 per cell]
Na 0.676 0.628 0.164 [1 per cell]
Na 0.680 0.971 0.827 [1 per cell]
Na 0.686 0.300 0.488 [1 per cell]
Na 0.806 0.477 0.082 [1 per cell]
Na 0.815 0.147 0.412 [1 per cell]
Na 0.817 0.468 0.578 [1 per cell]
Na 0.825 0.141 0.910 [1 per cell]
Na 0.846 0.802 0.745 [1 per cell]
Na 0.850 0.810 0.245 [1 per cell]
Na 0.965 0.305 0.988 [1 per cell]
Ca 0.308 0.967 0.226 [1 per cell]
Ca 0.317 0.974 0.723 [1 per cell]
Ca 0.323 0.644 0.558 [1 per cell]
Ca 0.325 0.640 0.056 [1 per cell]
Ca 0.811 0.472 0.226 [1 per cell]
Ca 0.814 0.470 0.725 [1 per cell]
Ca 0.816 0.140 0.058 [1 per cell]
Ca 0.819 0.143 0.554 [1 per cell]
Ca 0.820 0.804 0.889 [1 per cell]
Zr 0.310 0.314 0.092 [1 per cell]
Zr 0.311 0.308 0.888 [1 per cell]
Zr 0.314 0.983 0.923 [1 per cell]
Zr 0.315 0.965 0.428 [1 per cell]
Zr 0.320 0.308 0.587 [1 per cell]
Zr 0.320 0.646 0.755 [1 per cell]
Zr 0.324 0.305 0.391 [1 per cell]
Zr 0.328 0.640 0.262 [1 per cell]
Zr 0.805 0.465 0.420 [1 per cell]
Zr 0.810 0.480 0.924 [1 per cell]
Zr 0.815 0.809 0.385 [1 per cell]
Zr 0.817 0.136 0.258 [1 per cell]
Zr 0.819 0.808 0.094 [1 per cell]
Zr 0.822 0.143 0.764 [1 per cell]
Zr 0.825 0.811 0.593 [1 per cell]
Si 0.017 0.973 0.819 [1 per cell]
Si 0.027 0.314 0.488 [1 per cell]
Si 0.162 0.456 0.988 [1 per cell]
Si 0.165 0.792 0.652 [1 per cell]
Si 0.169 0.821 0.324 [1 per cell]
Si 0.175 0.159 0.992 [1 per cell]
Si 0.459 0.158 0.490 [1 per cell]
Si 0.467 0.489 0.155 [1 per cell]
Si 0.468 0.124 0.823 [1 per cell]
Si 0.469 0.454 0.488 [1 per cell]
Si 0.516 0.477 0.824 [1 per cell]
Si 0.532 0.808 0.490 [1 per cell]
Si 0.664 0.318 0.322 [1 per cell]
Si 0.672 0.624 0.322 [1 per cell]
Si 0.675 0.659 0.990 [1 per cell]
Si 0.966 0.330 0.825 [1 per cell]
Si 0.967 0.952 0.490 [1 per cell]
Si 0.969 0.991 0.152 [1 per cell]
S 0.022 0.644 0.155 [1 per cell]
S 0.113 0.813 0.991 [1 per cell]
S 0.117 0.147 0.657 [1 per cell]
S 0.118 0.474 0.325 [1 per cell]
S 0.167 0.124 0.323 [1 per cell]
S 0.174 0.490 0.656 [1 per cell]
S 0.460 0.825 0.824 [1 per cell]
S 0.473 0.788 0.157 [1 per cell]
S 0.521 0.144 0.158 [1 per cell]
S 0.609 0.311 0.989 [1 per cell]
S 0.617 0.977 0.324 [1 per cell]
S 0.620 0.643 0.656 [1 per cell]
S 0.662 0.289 0.657 [1 per cell]
S 0.664 0.953 0.989 [1 per cell]
S 0.677 0.993 0.657 [1 per cell]
S 0.957 0.661 0.489 [1 per cell]
S 0.971 0.287 0.157 [1 per cell]
S 0.973 0.620 0.822 [1 per cell]
O 0.004 0.130 0.318 [1 per cell]
O 0.013 0.826 0.042 [1 per cell]
O 0.017 0.481 0.661 [1 per cell]
O 0.019 0.152 0.709 [1 per cell]
O 0.028 0.139 0.605 [1 per cell]
O 0.028 0.483 0.378 [1 per cell]
O 0.029 0.804 0.938 [1 per cell]
O 0.031 0.463 0.274 [1 per cell]
O 0.100 0.641 0.100 [1 per cell]
O 0.103 0.965 0.761 [1 per cell]
O 0.115 0.649 0.494 [1 per cell]
O 0.121 0.653 0.205 [1 per cell]
O 0.131 0.987 0.876 [1 per cell]
O 0.134 0.302 0.434 [1 per cell]
O 0.135 0.328 0.545 [1 per cell]
O 0.137 0.284 0.156 [1 per cell]
O 0.137 0.622 0.817 [1 per cell]
O 0.138 0.304 0.834 [1 per cell]
O 0.143 0.988 0.158 [1 per cell]
O 0.146 0.958 0.484 [1 per cell]
O 0.187 0.877 0.269 [1 per cell]
O 0.199 0.071 0.375 [1 per cell]
O 0.201 0.738 0.999 [1 per cell]
O 0.204 0.890 0.988 [1 per cell]
O 0.205 0.394 0.043 [1 per cell]
O 0.206 0.225 0.656 [1 per cell]
O 0.207 0.072 0.660 [1 per cell]
O 0.210 0.534 0.603 [1 per cell]
O 0.210 0.751 0.592 [1 per cell]
O 0.212 0.551 0.322 [1 per cell]
O 0.218 0.729 0.707 [1 per cell]
O 0.220 0.402 0.331 [1 per cell]
O 0.223 0.550 0.989 [1 per cell]
O 0.224 0.210 0.332 [1 per cell]
O 0.224 0.215 0.936 [1 per cell]
O 0.227 0.886 0.656 [1 per cell]
O 0.229 0.089 0.271 [1 per cell]
O 0.234 0.537 0.708 [1 per cell]
O 0.236 0.407 0.933 [1 per cell]
O 0.237 0.204 0.051 [1 per cell]
O 0.243 0.063 0.985 [1 per cell]
O 0.245 0.728 0.317 [1 per cell]
O 0.245 0.868 0.382 [1 per cell]
O 0.248 0.406 0.657 [1 per cell]
O 0.377 0.069 0.481 [1 per cell]
O 0.380 0.090 0.769 [1 per cell]
O 0.383 0.205 0.546 [1 per cell]
O 0.388 0.394 0.152 [1 per cell]
O 0.392 0.740 0.818 [1 per cell]
O 0.393 0.544 0.492 [1 per cell]
O 0.396 0.866 0.876 [1 per cell]
O 0.399 0.541 0.213 [1 per cell]
O 0.405 0.407 0.431 [1 per cell]
O 0.408 0.559 0.814 [1 per cell]
O 0.409 0.396 0.835 [1 per cell]
O 0.411 0.752 0.105 [1 per cell]
O 0.417 0.219 0.836 [1 per cell]
O 0.423 0.729 0.490 [1 per cell]
O 0.426 0.071 0.164 [1 per cell]
O 0.426 0.220 0.436 [1 per cell]
O 0.426 0.874 0.164 [1 per cell]
O 0.427 0.221 0.157 [1 per cell]
O 0.431 0.539 0.097 [1 per cell]
O 0.435 0.876 0.773 [1 per cell]
O 0.439 0.391 0.544 [1 per cell]
O 0.439 0.897 0.484 [1 per cell]
O 0.440 0.734 0.208 [1 per cell]
O 0.443 0.058 0.878 [1 per cell]
O 0.486 0.311 0.330 [1 per cell]
O 0.489 0.624 0.320 [1 per cell]
O 0.500 0.294 0.657 [1 per cell]
O 0.503 0.956 0.988 [1 per cell]
O 0.504 0.642 0.993 [1 per cell]
O 0.512 0.318 0.040 [1 per cell]
O 0.514 0.649 0.706 [1 per cell]
O 0.522 0.979 0.662 [1 per cell]
O 0.524 0.302 0.936 [1 per cell]
O 0.528 0.988 0.378 [1 per cell]
O 0.529 0.968 0.274 [1 per cell]
O 0.540 0.633 0.602 [1 per cell]
O 0.605 0.138 0.106 [1 per cell]
O 0.617 0.449 0.772 [1 per cell]
O 0.617 0.816 0.831 [1 per cell]
O 0.619 0.491 0.883 [1 per cell]
O 0.620 0.153 0.209 [1 per cell]
O 0.632 0.148 0.493 [1 per cell]
O 0.636 0.820 0.548 [1 per cell]
O 0.638 0.786 0.153 [1 per cell]
O 0.641 0.797 0.437 [1 per cell]
O 0.642 0.483 0.158 [1 per cell]
O 0.647 0.127 0.815 [1 per cell]
O 0.648 0.462 0.485 [1 per cell]
O 0.682 0.384 0.272 [1 per cell]
O 0.695 0.391 0.987 [1 per cell]
O 0.703 0.723 0.656 [1 per cell]
O 0.705 0.238 0.709 [1 per cell]
O 0.707 0.559 0.377 [1 per cell]
O 0.707 0.899 0.040 [1 per cell]
O 0.709 0.038 0.604 [1 per cell]
O 0.710 0.240 0.994 [1 per cell]
O 0.712 0.054 0.320 [1 per cell]
O 0.712 0.247 0.604 [1 per cell]
O 0.714 0.904 0.330 [1 per cell]
O 0.717 0.572 0.663 [1 per cell]
O 0.724 0.708 0.935 [1 per cell]
O 0.724 0.918 0.936 [1 per cell]
O 0.726 0.037 0.996 [1 per cell]
O 0.727 0.372 0.659 [1 per cell]
O 0.729 0.718 0.335 [1 per cell]
O 0.734 0.361 0.384 [1 per cell]
O 0.734 0.591 0.262 [1 per cell]
O 0.740 0.038 0.708 [1 per cell]
O 0.743 0.227 0.315 [1 per cell]
O 0.748 0.707 0.049 [1 per cell]
O 0.756 0.910 0.656 [1 per cell]
O 0.760 0.564 0.989 [1 per cell]
O 0.883 0.239 0.815 [1 per cell]
O 0.885 0.578 0.484 [1 per cell]
O 0.886 0.370 0.883 [1 per cell]
O 0.888 0.898 0.150 [1 per cell]
O 0.894 0.047 0.207 [1 per cell]
O 0.894 0.901 0.438 [1 per cell]
O 0.895 0.702 0.542 [1 per cell]
O 0.895 0.903 0.827 [1 per cell]
O 0.900 0.044 0.493 [1 per cell]
O 0.912 0.582 0.772 [1 per cell]
O 0.916 0.253 0.102 [1 per cell]
O 0.920 0.707 0.828 [1 per cell]
O 0.922 0.234 0.492 [1 per cell]
O 0.923 0.372 0.164 [1 per cell]
O 0.926 0.572 0.160 [1 per cell]
O 0.926 0.723 0.154 [1 per cell]
O 0.928 0.066 0.818 [1 per cell]
O 0.929 0.713 0.439 [1 per cell]
O 0.931 0.231 0.206 [1 per cell]
O 0.935 0.403 0.484 [1 per cell]
O 0.939 0.041 0.093 [1 per cell]
O 0.940 0.895 0.549 [1 per cell]
O 0.944 0.569 0.875 [1 per cell]
O 0.965 0.392 0.773 [1 per cell]
O 0.982 0.798 0.656 [1 per cell]
O 0.985 0.454 0.983 [1 per cell]
O 0.996 0.808 0.336 [1 per cell]
O 0.998 0.153 0.988 [1 per cell]

Computed properties:
The energy is -6.918 eV/atom. The value obtained for the corrected total energy (MP2020 scheme) is -7.34 eV per atom. The crystal system is triclinic.

=====

A relaxed structure of Na6Ca3ZrSi2S4O24, computed with PBE.

Lattice parameters (Å, degrees): 9.392 9.413 23.430 89.79 89.84 60.09
Space group P1 (No. 1)
Symmetry-distinct sites (fractional):
Na 0.000 0.000 0.000 [1 per cell]
Na 0.002 0.692 0.846 [1 per cell]
Na 0.242 0.054 0.846 [1 per cell]
Na 0.276 0.738 0.924 [1 per cell]
Na 0.282 0.417 0.335 [1 per cell]
Na 0.305 0.393 0.003 [1 per cell]
Na 0.326 0.708 0.422 [1 per cell]
Na 0.587 0.756 0.018 [1 per cell]
Na 0.605 0.410 0.496 [1 per cell]
Na 0.624 0.032 0.581 [1 per cell]
Na 0.626 0.014 0.094 [1 per cell]
Na 0.633 0.655 0.334 [1 per cell]
Na 0.658 0.369 0.180 [1 per cell]
Na 0.667 0.712 0.657 [1 per cell]
Na 0.931 0.081 0.678 [1 per cell]
Na 0.937 0.396 0.247 [1 per cell]
Na 0.962 0.364 0.759 [1 per cell]
Na 0.975 0.070 0.329 [1 per cell]
Ca 0.297 0.714 0.772 [1 per cell]
Ca 0.297 0.721 0.567 [1 per cell]
Ca 0.299 0.726 0.073 [1 per cell]
Ca 0.318 0.710 0.263 [1 per cell]
Ca 0.632 0.061 0.737 [1 per cell]
Ca 0.635 0.039 0.232 [1 per cell]
Ca 0.956 0.389 0.407 [1 per cell]
Ca 0.962 0.378 0.902 [1 per cell]
Ca 0.964 0.399 0.594 [1 per cell]
Zr 0.633 0.046 0.437 [1 per cell]
Zr 0.644 0.043 0.938 [1 per cell]
Zr 0.975 0.394 0.099 [1 per cell]
Si 0.268 0.087 0.998 [1 per cell]
Si 0.619 0.705 0.165 [1 per cell]
Si 0.633 0.345 0.335 [1 per cell]
Si 0.654 0.695 0.502 [1 per cell]
Si 0.934 0.050 0.832 [1 per cell]
Si 0.966 0.683 0.996 [1 per cell]
S 0.278 0.376 0.498 [1 per cell]
S 0.295 0.415 0.167 [1 per cell]
S 0.298 0.016 0.670 [1 per cell]
S 0.337 0.344 0.838 [1 per cell]
S 0.338 0.052 0.337 [1 per cell]
S 0.603 0.415 0.666 [1 per cell]
S 0.631 0.761 0.835 [1 per cell]
S 0.671 0.376 0.003 [1 per cell]
S 0.928 0.757 0.337 [1 per cell]
S 0.958 0.080 0.501 [1 per cell]
S 0.992 0.032 0.167 [1 per cell]
S 0.996 0.716 0.670 [1 per cell]
O 0.073 0.930 0.117 [1 per cell]
O 0.082 0.732 0.620 [1 per cell]
O 0.085 0.953 0.221 [1 per cell]
O 0.086 0.703 0.723 [1 per cell]
O 0.086 0.758 0.334 [1 per cell]
O 0.094 0.913 0.506 [1 per cell]
O 0.112 0.875 0.840 [1 per cell]
O 0.125 0.706 0.006 [1 per cell]
O 0.145 0.179 0.664 [1 per cell]
O 0.147 0.393 0.162 [1 per cell]
O 0.162 0.157 0.940 [1 per cell]
O 0.164 0.215 0.051 [1 per cell]
O 0.169 0.366 0.840 [1 per cell]
O 0.176 0.202 0.345 [1 per cell]
O 0.187 0.391 0.445 [1 per cell]
O 0.200 0.351 0.549 [1 per cell]
O 0.269 0.512 0.220 [1 per cell]
O 0.280 0.938 0.723 [1 per cell]
O 0.300 0.900 0.006 [1 per cell]
O 0.302 0.519 0.504 [1 per cell]
O 0.309 0.499 0.116 [1 per cell]
O 0.317 0.911 0.620 [1 per cell]
O 0.318 0.905 0.336 [1 per cell]
O 0.323 0.508 0.835 [1 per cell]
O 0.415 0.071 0.285 [1 per cell]
O 0.417 0.245 0.787 [1 per cell]
O 0.434 0.257 0.890 [1 per cell]
O 0.446 0.253 0.171 [1 per cell]
O 0.447 0.030 0.388 [1 per cell]
O 0.449 0.083 0.994 [1 per cell]
O 0.450 0.028 0.672 [1 per cell]
O 0.450 0.226 0.495 [1 per cell]
O 0.462 0.525 0.339 [1 per cell]
O 0.476 0.702 0.503 [1 per cell]
O 0.479 0.750 0.835 [1 per cell]
O 0.500 0.513 0.010 [1 per cell]
O 0.511 0.494 0.613 [1 per cell]
O 0.517 0.516 0.717 [1 per cell]
O 0.518 0.714 0.108 [1 per cell]
O 0.546 0.667 0.224 [1 per cell]
O 0.615 0.868 0.886 [1 per cell]
O 0.625 0.234 0.391 [1 per cell]
O 0.626 0.246 0.669 [1 per cell]
O 0.635 0.882 0.492 [1 per cell]
O 0.643 0.863 0.169 [1 per cell]
O 0.646 0.839 0.783 [1 per cell]
O 0.651 0.240 0.278 [1 per cell]
O 0.662 0.220 0.996 [1 per cell]
O 0.741 0.408 0.952 [1 per cell]
O 0.745 0.582 0.446 [1 per cell]
O 0.755 0.626 0.562 [1 per cell]
O 0.772 0.398 0.665 [1 per cell]
O 0.777 0.348 0.054 [1 per cell]
O 0.781 0.599 0.840 [1 per cell]
O 0.793 0.868 0.995 [1 per cell]
O 0.797 0.077 0.495 [1 per cell]
O 0.799 0.363 0.338 [1 per cell]
O 0.801 0.525 0.159 [1 per cell]
O 0.818 0.043 0.888 [1 per cell]
O 0.821 0.062 0.170 [1 per cell]
O 0.827 0.828 0.286 [1 per cell]
O 0.827 0.866 0.671 [1 per cell]
O 0.835 0.860 0.388 [1 per cell]
O 0.843 0.055 0.773 [1 per cell]
O 0.932 0.183 0.552 [1 per cell]
O 0.937 0.583 0.050 [1 per cell]
O 0.961 0.586 0.344 [1 per cell]
O 0.965 0.206 0.834 [1 per cell]
O 0.974 0.569 0.667 [1 per cell]
O 0.981 0.157 0.449 [1 per cell]
O 0.981 0.197 0.162 [1 per cell]
O 0.987 0.586 0.938 [1 per cell]

Computed properties:
The energy is -6.413 eV/atom. The value obtained for the corrected total energy (MP2020 scheme) is -6.83 eV per atom. The crystal system is triclinic.